VASP calculation (PBE-GGA) on an optimized crystal structure of CeP2N2O8.

Structure (POSCAR):
```
CeP2N2O8
1.0
-3.436 3.436 9.357
3.436 -3.436 9.357
3.436 3.436 -9.357
P O Ce N
4 16 2 4
Direct
0.819 0.819 0.000
0.181 0.181 0.000
0.931 0.431 0.500
0.569 0.069 0.500
0.708 0.372 0.336
0.340 0.021 0.319
0.979 0.660 0.681
0.048 0.229 0.819
0.702 0.021 0.681
0.410 0.229 0.181
0.979 0.298 0.319
0.122 0.286 0.164
0.771 0.590 0.819
0.122 0.958 0.836
0.628 0.964 0.336
0.771 0.952 0.181
0.714 0.878 0.836
0.042 0.878 0.164
0.036 0.372 0.664
0.628 0.292 0.664
0.000 0.000 0.000
0.750 0.250 0.500
0.375 0.625 0.750
0.375 0.625 0.250
0.875 0.625 0.250
0.375 0.125 0.750
```

Properties
MP2020-corrected energy: -91.85 eV per formula unit

VASP calculation (PBE-GGA) on an optimized crystal structure of Sc5Si10Ir4.

Structure (POSCAR):
```
Sc5Si10Ir4
1.0
12.406 0.000 0.000
0.000 12.406 0.000
0.000 0.000 4.101
Si Sc Ir
20 10 8
Direct
0.702 0.336 0.000
0.836 0.202 0.000
0.504 0.348 0.500
0.066 0.434 0.000
0.566 0.066 0.000
0.348 0.496 0.500
0.336 0.298 0.000
0.164 0.798 0.000
0.664 0.702 0.000
0.496 0.652 0.500
0.298 0.664 0.000
0.934 0.566 0.000
0.652 0.504 0.500
0.202 0.164 0.000
0.996 0.848 0.500
0.004 0.152 0.500
0.152 0.996 0.500
0.434 0.934 0.000
0.848 0.004 0.500
0.798 0.836 0.000
0.500 0.500 0.000
0.825 0.675 0.500
0.886 0.386 0.500
0.114 0.614 0.500
0.386 0.114 0.500
0.675 0.175 0.500
0.614 0.886 0.500
0.175 0.325 0.500
0.000 0.000 0.000
0.325 0.825 0.500
0.521 0.254 0.000
0.021 0.246 0.000
0.754 0.021 0.000
0.746 0.521 0.000
0.246 0.979 0.000
0.254 0.479 0.000
0.979 0.754 0.000
0.479 0.746 0.000
```

VASP calculation (PBE-GGA) on an optimized crystal structure of TiCrCuS4.

Structure (POSCAR):
```
TiCrCuS4
1.0
-4.068 3.967 1.410
-4.490 -3.146 -4.102
-3.641 -7.081 9.416
S Ti Cr Cu
16 4 4 4
Direct
0.661 0.000 0.135
0.677 0.500 0.138
0.339 0.500 0.365
0.323 0.000 0.638
0.323 0.000 0.362
0.677 0.500 0.862
0.839 0.749 0.365
0.161 0.249 0.865
0.839 0.749 0.635
0.339 0.500 0.635
0.839 0.251 0.635
0.161 0.249 0.135
0.839 0.251 0.365
0.661 0.000 0.865
0.161 0.751 0.135
0.161 0.751 0.865
0.500 0.750 0.250
0.500 0.250 0.750
0.500 0.750 0.750
0.500 0.250 0.250
0.995 0.000 0.754
0.995 0.000 0.246
0.005 0.500 0.746
0.005 0.500 0.254
0.357 0.000 0.000
0.967 0.500 0.000
0.643 0.500 0.500
0.033 0.000 0.500
```

Properties
MP2020-corrected energy: -45.48 eV per formula unit

For each record above, in turn, the calculated V values are 17.0; 16.6; 17.7 A^3/atom.
For each record above, in turn, the calculated energy of formation values are -1.4488; -0.8566; -1.0416 eV/atom.
For each record above, in turn, the calculated energy values are -6.643; -7.239; -6.210 eV per atom.